1.
DFT (PBE) results for a geometry-optimized Dy7BP2O17 structure.

```
Dy7BP2O17
1.0
-10.3802 -13.8308 -0.7722
5.3078 -3.9431 -0.7250
4.8724 -4.2863 11.2740
Dy B P O
28 4 8 68
Direct
0.7235 0.7963 0.1800
0.2765 0.2037 0.8200
0.2235 0.2037 0.3200
0.7765 0.7963 0.6800
0.8655 0.7831 0.4340
0.1345 0.2169 0.5660
0.3655 0.2169 0.0660
0.6345 0.7831 0.9340
0.6064 0.3138 0.1980
0.3936 0.6862 0.8020
0.1064 0.6862 0.3020
0.8936 0.3138 0.6980
0.2727 0.7164 0.0952
0.7273 0.2836 0.9048
0.7727 0.2836 0.4048
0.2273 0.7164 0.5952
0.4467 0.7147 0.5085
0.5533 0.2853 0.4915
0.9467 0.2853 0.9915
0.0533 0.7147 0.0085
0.5204 0.8039 0.2124
0.4796 0.1961 0.7876
0.0204 0.1961 0.2876
0.9796 0.8039 0.7124
0.6536 0.8156 0.4247
0.3464 0.1844 0.5753
0.1536 0.1844 0.0753
0.8464 0.8156 0.9247
0.4324 0.7466 0.0007
0.5676 0.2534 0.9993
0.9324 0.2534 0.4993
0.0676 0.7466 0.5007
0.8013 0.2848 0.1637
0.1987 0.7152 0.8363
0.3013 0.7152 0.3363
0.6987 0.2848 0.6637
0.9370 0.7807 0.1825
0.0630 0.2193 0.8175
0.4370 0.2193 0.3175
0.5630 0.7807 0.6825
0.8675 0.4283 0.0922
0.1325 0.5717 0.9078
0.3675 0.5717 0.4078
0.6325 0.4283 0.5922
0.3760 0.5934 0.9996
0.6240 0.4066 0.0004
0.8760 0.4066 0.5004
0.1240 0.5934 0.4996
0.7647 0.9014 0.4935
0.2353 0.0986 0.5065
0.2647 0.0986 0.0065
0.7353 0.9014 0.9935
0.6326 0.9596 0.2392
0.3674 0.0404 0.7608
0.1326 0.0404 0.2608
0.8674 0.9596 0.7392
0.9353 0.8558 0.0521
0.0647 0.1442 0.9479
0.4353 0.1442 0.4479
0.5647 0.8558 0.5521
0.8585 0.7109 0.2390
0.1415 0.2891 0.7610
0.3585 0.2891 0.2610
0.6415 0.7109 0.7390
0.1433 0.7940 0.1195
0.8567 0.2060 0.8805
0.6433 0.2060 0.3805
0.3567 0.7940 0.6195
0.7408 0.4294 0.1930
0.2592 0.5706 0.8070
0.2408 0.5706 0.3070
0.7592 0.4294 0.6930
0.5433 0.6349 0.4025
0.4567 0.3651 0.5975
0.0433 0.3651 0.0975
0.9567 0.6349 0.9025
0.9971 0.5914 0.2286
0.0029 0.4086 0.7714
0.4971 0.4086 0.2714
0.5029 0.5914 0.7286
0.3267 0.8854 0.2210
0.6733 0.1146 0.7790
0.8267 0.1146 0.2790
0.1733 0.8854 0.7210
0.6088 0.6860 0.1242
0.3912 0.3140 0.8758
0.1088 0.3140 0.3758
0.8912 0.6860 0.6242
0.9682 0.9856 0.1966
0.0318 0.0144 0.8034
0.4682 0.0144 0.3034
0.5318 0.9856 0.6966
0.4213 0.8391 0.0769
0.5787 0.1609 0.9231
0.9213 0.1609 0.4231
0.0787 0.8391 0.5769
0.5118 0.1974 0.0832
0.4882 0.8026 0.9168
0.0118 0.8026 0.4168
0.9882 0.1974 0.5832
0.7394 0.6268 0.3733
0.2606 0.3732 0.6267
0.2394 0.3732 0.1267
0.7606 0.6268 0.8733
0.2633 0.8332 0.4045
0.7367 0.1668 0.5955
0.7633 0.1668 0.0955
0.2367 0.8332 0.9045
```

**Symmetry**: P2_1/c, No. 14
**Total moment**: 0.00 μB per atom
**E**: -8.195 eV/atom
**Energy relative to the elements**: -3.669 eV per atom

=====

2.
DFT (PBE) results for a geometry-optimized Nd6Fe13Sb structure.

```
Nd6Fe13Sb
1.0
3.5834 3.3312 12.0835
3.2733 11.8072 4.4524
-8.8814 -6.5626 -6.9283
Nd Fe Sb
12 26 2
Direct
0.8959 0.8959 0.0000
0.4774 0.9774 0.8251
0.3477 0.5226 0.5000
0.8477 0.3477 0.8251
0.5226 0.0226 0.1749
0.6523 0.4774 0.5000
0.1041 0.1041 0.0000
0.3959 0.3959 0.0000
0.1523 0.6523 0.1749
0.6041 0.6041 0.0000
0.0226 0.8477 0.5000
0.9774 0.1523 0.5000
0.7096 0.4333 0.1429
0.5203 0.7928 0.5000
0.2072 0.7072 0.7275
0.5667 0.7096 0.2763
0.7904 0.9333 0.7237
0.3800 0.8800 0.1429
0.2629 0.7629 0.1429
0.9797 0.4797 0.2725
0.9333 0.2096 0.1429
0.2371 0.3800 0.5000
0.7928 0.2928 0.2725
0.4797 0.2072 0.5000
0.7371 0.2371 0.8571
0.4333 0.2904 0.7237
0.2904 0.5667 0.8571
0.0000 0.5000 0.5000
0.0203 0.5203 0.7275
0.2096 0.0667 0.2763
0.1200 0.2629 0.5000
0.8800 0.7371 0.5000
0.6200 0.1200 0.8571
0.0667 0.7904 0.8571
0.7629 0.6200 0.5000
0.5000 0.0000 0.5000
0.2928 0.0203 0.5000
0.7072 0.9797 0.5000
0.7500 0.7500 0.0000
0.2500 0.2500 0.0000
```

**Symmetry**: I4/mcm, No. 140
**Total moment**: 1.33 μB per atom
**E**: -7.264 eV/atom
**Energy relative to the elements**: -0.131 eV per atom

=====

3.
DFT (PBE) results for a geometry-optimized SrCaSmBiO6 structure.

```
SrCaSmBiO6
1.0
8.5043 0.0000 0.0000
0.0000 8.5252 0.0000
0.0000 0.0000 8.5491
Sr Ca Sm Bi O
4 4 4 4 24
Direct
0.0000 0.5000 0.5000
0.5000 0.0000 0.5000
0.5000 0.0000 0.0000
0.0000 0.5000 0.0000
0.5000 0.5000 0.0000
0.0000 0.0000 0.5000
0.0000 0.0000 0.0000
0.5000 0.5000 0.5000
0.2500 0.2500 0.2500
0.7500 0.7500 0.2500
0.7500 0.2500 0.7500
0.2500 0.7500 0.7500
0.7500 0.7500 0.7500
0.2500 0.2500 0.7500
0.2500 0.7500 0.2500
0.7500 0.2500 0.2500
0.9889 0.1985 0.3140
0.0111 0.8015 0.3140
0.0111 0.1985 0.6860
0.9889 0.8015 0.6860
0.3110 0.9906 0.2679
0.3110 0.0094 0.7321
0.6890 0.0094 0.2679
0.6890 0.9906 0.7321
0.1874 0.2121 0.9898
0.8126 0.2121 0.0102
0.1874 0.7879 0.0102
0.8126 0.7879 0.9898
0.5111 0.3015 0.1860
0.4889 0.6985 0.1860
0.4889 0.3015 0.8140
0.5111 0.6985 0.8140
0.1890 0.5094 0.2321
0.1890 0.4906 0.7679
0.8110 0.4906 0.2321
0.8110 0.5094 0.7679
0.3126 0.2879 0.5102
0.6874 0.2879 0.4898
0.3126 0.7121 0.4898
0.6874 0.7121 0.5102
```

**Symmetry**: Pnnn, No. 48
**Total moment**: 0.00 μB per atom
**E above lowest polymorph**: 35.5 meV per atom
**E**: -6.558 eV/atom
**Energy relative to the elements**: -2.771 eV per atom

=====

4.
DFT (PBE) results for a geometry-optimized BaMgBiF7 structure.

```
BaMgBiF7
1.0
10.7874 0.0000 0.0000
0.0000 5.7126 0.0000
0.0000 0.2474 9.9183
Ba Mg Bi F
4 4 4 28
Direct
0.3323 0.7439 0.4915
0.8323 0.2561 0.0085
0.6677 0.2561 0.5085
0.1677 0.7439 0.9915
0.3739 0.3038 0.8014
0.8739 0.6962 0.6986
0.1261 0.3038 0.3014
0.6261 0.6962 0.1986
0.5853 0.7770 0.8330
0.4147 0.2230 0.1670
0.9147 0.7770 0.3330
0.0853 0.2230 0.6670
0.4749 0.8555 0.1241
0.0985 0.5994 0.4070
0.7269 0.4983 0.7664
0.2731 0.5017 0.2336
0.4648 0.0829 0.3721
0.7885 0.7986 0.5236
0.7741 0.9650 0.7748
0.9648 0.9171 0.1279
0.4015 0.5994 0.9070
0.2269 0.5017 0.7336
0.0251 0.8555 0.6241
0.5251 0.1445 0.8759
0.2741 0.0350 0.7252
0.9724 0.5570 0.8484
0.5352 0.9171 0.6279
0.0352 0.0829 0.8721
0.2259 0.0350 0.2252
0.9749 0.1445 0.3759
0.4724 0.4430 0.6516
0.9015 0.4006 0.5930
0.0276 0.4430 0.1516
0.7259 0.9650 0.2748
0.5276 0.5570 0.3484
0.2885 0.2014 0.9764
0.2115 0.2014 0.4764
0.7115 0.7986 0.0236
0.5985 0.4006 0.0930
0.7731 0.4983 0.2664
```

**Symmetry**: P2_1/c, No. 14
**Total moment**: 0.00 μB per atom
**E**: -5.243 eV/atom
**Energy relative to the elements**: -3.485 eV per atom

=====

5.
DFT (PBE) results for a geometry-optimized H8PdN2Cl6 structure.

```
H8PdN2Cl6
1.0
1.7253 -6.2752 -2.6974
-3.8769 -2.7959 -5.1752
2.6197 -0.4292 -6.5256
H Pd N Cl
8 1 2 6
Direct
0.6902 0.6902 0.9295
0.6902 0.9295 0.6902
0.9295 0.6902 0.6902
0.6902 0.6902 0.6902
0.3098 0.3098 0.0705
0.3098 0.0705 0.3098
0.0705 0.3098 0.3098
0.3098 0.3098 0.3098
0.0000 0.0000 0.0000
0.7500 0.7500 0.7500
0.2500 0.2500 0.2500
0.7637 0.7637 0.2363
0.2363 0.7637 0.2363
0.7637 0.2363 0.2363
0.2363 0.2363 0.7637
0.7637 0.2363 0.7637
0.2363 0.7637 0.7637
```

**Symmetry**: Fm-3m, No. 225
**Total moment**: 0.00 μB per atom
**E above lowest polymorph**: 5.6 meV per atom
**E**: -4.094 eV/atom
**Energy relative to the elements**: -0.776 eV per atom

=====

6.
DFT (PBE) results for a geometry-optimized NaPH3NO3 structure.

```
NaPH3NO3
1.0
2.9031 -5.0284 0.0000
2.9031 5.0284 0.0000
0.0000 0.0000 6.1411
Na P H N O
2 2 6 2 6
Direct
0.0000 0.0000 0.4993
0.0000 0.0000 0.9993
0.6667 0.3333 0.8076
0.3333 0.6667 0.3076
0.8450 0.4918 0.1625
0.6468 0.1550 0.1625
0.5082 0.3532 0.1625
0.1550 0.5082 0.6625
0.3532 0.8450 0.6625
0.4918 0.6468 0.6625
0.6667 0.3333 0.1018
0.3333 0.6667 0.6018
0.3748 0.1480 0.7500
0.7731 0.6252 0.7500
0.8520 0.2269 0.7500
0.6252 0.8520 0.2500
0.2269 0.3748 0.2500
0.1480 0.7731 0.2500
```

**Symmetry**: P6_3, No. 173
**Total moment**: 0.00 μB per atom
**Maximum piezoelectric response**: 0.56 C/m2
**E**: -5.890 eV/atom
**Energy relative to the elements**: -1.664 eV per atom

=====

7.
DFT (PBE) results for a geometry-optimized UCoNiGe2 structure.

```
UCoNiGe2
1.0
4.1280 0.0000 0.0000
0.0000 4.1280 0.0000
0.0000 0.0000 9.3081
U Co Ni Ge
2 2 2 4
Direct
0.0000 0.5000 0.2364
0.5000 0.0000 0.7636
0.5000 0.5000 0.0000
0.0000 0.0000 0.0000
0.0000 0.5000 0.6231
0.5000 0.0000 0.3769
0.0000 0.5000 0.8685
0.5000 0.0000 0.1315
0.5000 0.5000 0.5000
0.0000 0.0000 0.5000
```

**Symmetry**: P4/nmm, No. 129
**Total moment**: 0.41 μB per atom
**E above lowest polymorph**: 0.0 meV per atom
**E**: -7.070 eV/atom
**Energy relative to the elements**: -0.385 eV per atom

=====

8.
DFT (PBE) results for a geometry-optimized V4Ir structure.

```
V4Ir
1.0
0.0000 2.2071 10.3061
1.5099 0.0000 10.3061
1.5099 2.2071 0.0000
V Ir
4 1
Direct
0.3971 0.3971 0.6029
0.7995 0.7995 0.2005
0.2005 0.2005 0.7995
0.6029 0.6029 0.3971
0.0000 0.0000 0.0000
```

**Symmetry**: Fmmm, No. 69
**Total moment**: 0.00 μB per atom
**E**: -9.193 eV/atom
**Energy relative to the elements**: -0.158 eV per atom

=====

9.
DFT (PBE) results for a geometry-optimized Te structure.

```
Te
1.0
0.3140 -2.0636 3.8486
3.8446 -1.5308 1.4296
1.1197 5.2030 2.7802
Te
3
Direct
0.3132 0.3132 0.6623
0.6868 0.6868 0.3377
0.0000 0.0000 0.0000
```

**Symmetry**: C2/m, No. 12
**E above lowest polymorph**: 43.6 meV per atom
**E**: -3.100 eV/atom
**Energy relative to the elements**: 0.044 eV per atom

=====

10.
DFT (PBE) results for a geometry-optimized Ca2ZnP2H4O10 structure.

```
Ca2ZnP2H4O10
1.0
5.5195 -0.0040 -0.7106
-2.1084 5.0873 -1.7223
0.0059 0.0000 6.8695
Ca Zn P H O
2 1 2 4 10
Direct
0.1494 0.2984 0.7612
0.8506 0.7016 0.2388
0.5000 0.0000 0.0000
0.1664 0.3393 0.2440
0.8336 0.6607 0.7560
0.4180 0.8279 0.3124
0.5820 0.1721 0.6876
0.6419 0.1270 0.3964
0.3581 0.8730 0.6036
0.3931 0.3399 0.1290
0.6069 0.6601 0.8710
0.9113 0.2628 0.0710
0.0887 0.7372 0.9290
0.1331 0.1621 0.3742
0.8669 0.8379 0.6258
0.2262 0.6309 0.3850
0.7738 0.3691 0.6150
0.4293 0.0491 0.7225
0.5707 0.9509 0.2775
```

**Symmetry**: P-1, No. 2
**Total moment**: 0.00 μB per atom
**E**: -6.262 eV/atom
**Energy relative to the elements**: -2.458 eV per atom

=====

11.
DFT (PBE) results for a geometry-optimized RbVCl3 structure.

```
RbVCl3
1.0
2.1965 0.8427 6.7509
-6.5816 -2.4499 -1.3381
2.1728 -5.8498 0.0233
Rb V Cl
2 2 6
Direct
0.6667 0.3333 0.2500
0.3333 0.6667 0.7500
0.0000 0.0000 0.5000
0.0000 0.0000 0.0000
0.8429 0.6858 0.7500
0.1571 0.8429 0.2500
0.6858 0.8429 0.2500
0.3142 0.1571 0.7500
0.1571 0.3142 0.2500
0.8429 0.1571 0.7500
```

**Symmetry**: P6_3/mmc, No. 194
**E**: -4.625 eV/atom
**Energy relative to the elements**: -1.871 eV per atom

=====

12.
DFT (PBE) results for a geometry-optimized DyGeAu structure.

```
DyGeAu
1.0
3.3495 -2.6138 1.4231
-1.5366 -0.4094 -4.1890
4.8611 4.9928 -2.2711
Dy Ge Au
2 2 2
Direct
0.0000 0.0000 0.1577
0.0000 0.0000 0.6577
0.6667 0.3333 0.9495
0.3333 0.6667 0.4495
0.6667 0.3333 0.3667
0.3333 0.6667 0.8667
```

**Symmetry**: P6_3mc, No. 186
**E**: -4.997 eV/atom
**Energy relative to the elements**: -0.829 eV per atom

=====

13.
DFT (PBE) results for a geometry-optimized CaH12Cl2O6 structure.

```
CaH12Cl2O6
1.0
3.9420 -6.8278 0.0000
3.9420 6.8278 0.0000
0.0000 0.0000 4.0303
Ca H Cl O
1 12 2 6
Direct
0.0000 0.0000 0.0000
0.1138 0.7657 0.5194
0.2343 0.3481 0.5194
0.6519 0.8862 0.5194
0.3481 0.2343 0.4806
0.8862 0.6519 0.4806
0.7657 0.1138 0.4806
0.1001 0.4361 0.0996
0.5639 0.6640 0.0996
0.3360 0.8999 0.0996
0.4361 0.1001 0.9004
0.8999 0.3360 0.9004
0.6640 0.5639 0.9004
0.6667 0.3333 0.6006
0.3333 0.6667 0.3994
0.2147 0.2147 0.5000
0.0000 0.7853 0.5000
0.7853 0.0000 0.5000
0.6885 0.6885 0.0000
0.0000 0.3115 0.0000
0.3115 0.0000 0.0000
```

**Symmetry**: P321, No. 150
**E**: -4.850 eV/atom
**Energy relative to the elements**: -1.422 eV per atom